Entry from the Materials Project database: DyGe2Pt2 after structural relaxation (r2SCAN).

Values from the calculation:
Magnetic moment   0.000 μB per atom
DFT formation energy   -0.945 eV per atom
VASP energy   -33.486 eV/atom

abc: 4.245 4.245 10.180
angles: 90.00 90.00 90.00
Positions (direct):
Dy  0.250  0.250  0.248
Dy  0.750  0.750  0.752
Ge  0.250  0.250  0.866
Ge  0.250  0.750  0.500
Ge  0.750  0.250  0.500
Ge  0.750  0.750  0.134
Pt  0.250  0.250  0.629
Pt  0.250  0.750  0.000
Pt  0.750  0.250  0.000
Pt  0.750  0.750  0.371